{"formula": "MgMn2O4", "functional": "GGA+U", "state": "optimized geometry", "lattice_angstrom": [[3.1571, -0.0602, 0.2190], [-1.6328, 2.8445, -0.0084], [0.7216, 0.3932, 10.0869]], "species": ["Mg", "Mn", "Mn", "O", "O", "O", "O"], "frac_coords": [[0.8536, 0.4242, 0.2123], [0.7281, 0.8587, 0.9351], [0.0267, 0.0191, 0.5146], [0.7245, 0.3631, 0.4123], [0.4396, 0.2153, 0.8878], [0.5743, 0.7846, 0.1456], [0.3196, 0.6683, 0.5985]], "energy_mp2020_ev_per_atom": -7.7641, "vol_a3_per_cell": 89.0, "ef_ev_per_atom": -2.09, "e_tot_ha_per_atom": -0.253}


{"formula": "FeP4O12", "functional": "GGA+U", "state": "optimized geometry", "lattice_angstrom": [[-1.0810, -2.5946, 8.7692], [0.9834, -8.9956, -2.5403], [11.7791, 0.8100, 1.6916]], "species": ["Fe", "Fe", "Fe", "Fe", "P", "P", "P", "P", "P", "P", "P", "P", "P", "P", "P", "P", "P", "P", "P", "P", "O", "O", "O", "O", "O", "O", "O", "O", "O", "O", "O", "O", "O", "O", "O", "O", "O", "O", "O", "O", "O", "O", "O", "O", "O", "O", "O", "O", "O", "O", "O", "O", "O", "O", "O", "O", "O", "O", "O", "O", "O", "O", "O", "O", "O", "O", "O", "O"], "frac_coords": [[0.7500, 0.0189, 0.2006], [0.2500, 0.4811, 0.7006], [0.7500, 0.5189, 0.2994], [0.2500, 0.9811, 0.7994], [0.7500, 0.7879, 0.5131], [0.0529, 0.7736, 0.6209], [0.4471, 0.7736, 0.6209], [0.2500, 0.7121, 0.0131], [0.7500, 0.0948, 0.5571], [0.5529, 0.2264, 0.3791], [0.9471, 0.2264, 0.3791], [0.2500, 0.2121, 0.4869], [0.7500, 0.2879, 0.9869], [0.0529, 0.2736, 0.8791], [0.2500, 0.9052, 0.4429], [0.2500, 0.4052, 0.0571], [0.7500, 0.5948, 0.9429], [0.5529, 0.7264, 0.1209], [0.9471, 0.7264, 0.1209], [0.4471, 0.2736, 0.8791], [0.4169, 0.8870, 0.7054], [0.0831, 0.8870, 0.7054], [0.2500, 0.8125, 0.9185], [0.2500, 0.0265, 0.1297], [0.5831, 0.1130, 0.2946], [0.9169, 0.1130, 0.2946], [0.7500, 0.1875, 0.0815], [0.7500, 0.9735, 0.8703], [0.2500, 0.0526, 0.5293], [0.0952, 0.1227, 0.8590], [0.4048, 0.1227, 0.8590], [0.6100, 0.1756, 0.5027], [0.8900, 0.1756, 0.5027], [0.2500, 0.1365, 0.1859], [0.1207, 0.2262, 0.4014], [0.3793, 0.2262, 0.4014], [0.6207, 0.2738, 0.9014], [0.9048, 0.8773, 0.1410], [0.7500, 0.3635, 0.6859], [0.1100, 0.3244, 0.0027], [0.3900, 0.3244, 0.0027], [0.5952, 0.3773, 0.3590], [0.9048, 0.3773, 0.3590], [0.7500, 0.4474, 0.0293], [0.2500, 0.5265, 0.3703], [0.2500, 0.3125, 0.5815], [0.0831, 0.3870, 0.7946], [0.4169, 0.3870, 0.7946], [0.5831, 0.6130, 0.2054], [0.9169, 0.6130, 0.2054], [0.7500, 0.6875, 0.4185], [0.7500, 0.4735, 0.6297], [0.2500, 0.5526, 0.9707], [0.0952, 0.6227, 0.6410], [0.4048, 0.6227, 0.6410], [0.6100, 0.6756, 0.9973], [0.8900, 0.6756, 0.9973], [0.2500, 0.6365, 0.3141], [0.1207, 0.7262, 0.0986], [0.3793, 0.7262, 0.0986], [0.6207, 0.7738, 0.5986], [0.8793, 0.7738, 0.5986], [0.7500, 0.8635, 0.8141], [0.1100, 0.8244, 0.4973], [0.3900, 0.8244, 0.4973], [0.5952, 0.8773, 0.1410], [0.7500, 0.9474, 0.4707], [0.8793, 0.2738, 0.9014]], "energy_mp2020_ev_per_atom": -7.0603, "vol_a3_per_cell": 1032.3, "ef_ev_per_atom": -1.80, "e_tot_ha_per_atom": -0.250}


{"formula": "Li4Mn5CoP6O24", "functional": "GGA+U", "state": "optimized geometry", "lattice_angstrom": [[-6.8350, -3.7298, 3.4915], [0.7344, -8.2123, 2.2172], [0.4178, -1.7080, 8.4362]], "species": ["Li", "Li", "Li", "Li", "Mn", "Mn", "Mn", "Mn", "Mn", "Co", "P", "P", "P", "P", "P", "P", "O", "O", "O", "O", "O", "O", "O", "O", "O", "O", "O", "O", "O", "O", "O", "O", "O", "O", "O", "O", "O", "O", "O", "O"], "frac_coords": [[0.6472, 0.8503, 0.2478], [0.3397, 0.1581, 0.7583], [0.1509, 0.7531, 0.3485], [0.7633, 0.3464, 0.1481], [0.0122, 0.9953, 0.9915], [0.6429, 0.6491, 0.6465], [0.5028, 0.4883, 0.5070], [0.8501, 0.8568, 0.8534], [0.3461, 0.3425, 0.3426], [0.1509, 0.1506, 0.1520], [0.5585, 0.2519, 0.9357], [0.2484, 0.9405, 0.5632], [0.9434, 0.5561, 0.2494], [0.0365, 0.4623, 0.7515], [0.7501, 0.0434, 0.4442], [0.4557, 0.7531, 0.0560], [0.3066, 0.0959, 0.5433], [0.0933, 0.5265, 0.3198], [0.5387, 0.3063, 0.0926], [0.7481, 0.0844, 0.9249], [0.3975, 0.1960, 0.9657], [0.5811, 0.4060, 0.7481], [0.0937, 0.9163, 0.7500], [0.4155, 0.7507, 0.5724], [0.9900, 0.6140, 0.8288], [0.7442, 0.5784, 0.3926], [0.0527, 0.2675, 0.9023], [0.8105, 0.9918, 0.6060], [0.1957, 0.9701, 0.4006], [0.9209, 0.7542, 0.1042], [0.2330, 0.4405, 0.6065], [0.9801, 0.4004, 0.1820], [0.5973, 0.2397, 0.4277], [0.9070, 0.0669, 0.2547], [0.4268, 0.6010, 0.2471], [0.6066, 0.8169, 0.0391], [0.2613, 0.9103, 0.0673], [0.5070, 0.6912, 0.8948], [0.8858, 0.5069, 0.6732], [0.6848, 0.8933, 0.4606]], "energy_mp2020_ev_per_atom": -7.7610, "vol_a3_per_cell": 474.9, "ef_ev_per_atom": -2.47, "e_tot_ha_per_atom": -0.261}


{"formula": "Sm2MgMo2I8O30", "functional": "GGA+U", "state": "optimized geometry", "lattice_angstrom": [[-2.8216, -1.3529, 6.4186], [7.1447, -0.5504, -0.1908], [1.1198, 14.1293, 3.2811]], "species": ["Sm", "Sm", "Mg", "Mo", "Mo", "I", "I", "I", "I", "I", "I", "I", "I", "O", "O", "O", "O", "O", "O", "O", "O", "O", "O", "O", "O", "O", "O", "O", "O", "O", "O", "O", "O", "O", "O", "O", "O", "O", "O", "O", "O", "O", "O"], "frac_coords": [[0.0980, 0.4413, 0.4304], [0.9106, 0.5757, 0.9540], [0.0681, 0.1003, 0.6392], [0.5874, 0.7774, 0.2716], [0.4231, 0.2187, 0.7761], [0.5023, 0.7485, 0.0357], [0.5102, 0.2623, 0.5278], [0.7510, 0.2913, 0.1927], [0.2343, 0.6848, 0.6950], [0.1631, 0.9542, 0.3122], [0.8370, 0.0552, 0.8248], [0.7449, 0.8558, 0.5163], [0.2337, 0.1378, 0.0511], [0.3919, 0.6930, 0.1521], [0.6056, 0.2958, 0.6492], [0.2644, 0.6271, 0.9700], [0.7465, 0.4005, 0.4682], [0.5908, 0.5390, 0.0279], [0.4067, 0.4622, 0.5279], [0.7532, 0.0312, 0.1811], [0.2426, 0.9532, 0.6773], [0.9130, 0.4058, 0.0949], [0.0759, 0.5597, 0.5965], [0.9387, 0.3801, 0.2863], [0.0538, 0.6059, 0.7881], [0.4300, 0.9871, 0.2901], [0.5684, 0.0149, 0.7928], [0.2386, 0.1918, 0.3766], [0.7658, 0.8149, 0.8825], [0.1082, 0.7755, 0.4096], [0.8876, 0.2322, 0.9203], [0.5209, 0.9136, 0.5227], [0.4662, 0.0883, 0.0439], [0.7973, 0.8631, 0.6448], [0.2338, 0.1837, 0.1737], [0.9609, 0.1209, 0.5170], [0.0360, 0.8764, 0.0406], [0.7688, 0.9252, 0.3643], [0.2375, 0.0857, 0.8599], [0.3919, 0.6016, 0.3392], [0.6146, 0.4111, 0.8390], [0.7274, 0.6423, 0.2295], [0.2549, 0.3262, 0.7172]], "energy_mp2020_ev_per_atom": -5.9797, "vol_a3_per_cell": 681.4, "ef_ev_per_atom": -1.48, "e_tot_ha_per_atom": -0.197}


{"formula": "MgMn6O8F4", "functional": "GGA+U", "state": "optimized geometry", "lattice_angstrom": [[-5.2977, 5.6311, 3.0451], [-0.4716, 5.1105, -3.0230], [-4.8109, 0.5026, -3.0266]], "species": ["Mg", "Mn", "Mn", "Mn", "Mn", "Mn", "Mn", "O", "O", "O", "O", "O", "O", "O", "O", "F", "F", "F", "F"], "frac_coords": [[0.5040, 0.5044, 0.9651], [0.8561, 0.6753, 0.6810], [0.6735, 0.3340, 0.3642], [0.2561, 0.6439, 0.5990], [0.1603, 0.3249, 0.3300], [0.4905, 0.9933, 0.9977], [0.0097, 0.9945, 0.9953], [0.6700, 0.0240, 0.6493], [0.3285, 0.3659, 0.9488], [0.0207, 0.8015, 0.7938], [0.4175, 0.4244, 0.3818], [0.3179, 0.9587, 0.3574], [0.6695, 0.6312, 0.0349], [0.0290, 0.3103, 0.7027], [0.0282, 0.6970, 0.3187], [0.3205, 0.8625, 0.9029], [0.6543, 0.5495, 0.5925], [0.9536, 0.2154, 0.2377], [0.6986, 0.1416, 0.0758]], "energy_mp2020_ev_per_atom": -7.7772, "vol_a3_per_cell": 221.9, "ef_ev_per_atom": -2.31, "e_tot_ha_per_atom": -0.252}


{"formula": "LiV3O4", "functional": "GGA+U", "state": "optimized geometry", "lattice_angstrom": [[-0.8177, -0.9682, -4.0794], [-3.3315, -2.3733, 1.2313], [-5.2063, 6.9891, -0.6151]], "species": ["Li", "Li", "V", "V", "V", "V", "V", "V", "O", "O", "O", "O", "O", "O", "O", "O"], "frac_coords": [[0.0000, 0.0000, 0.0050], [0.5000, 0.5000, 0.5050], [0.0000, 0.0000, 0.4939], [0.0000, 0.5000, 0.7529], [0.5000, 0.0000, 0.7529], [0.5000, 0.5000, 0.9938], [0.5000, 0.0000, 0.2529], [0.0000, 0.5000, 0.2529], [0.5000, 0.0000, 0.0024], [0.0000, 0.5000, 0.5024], [0.0000, 0.5000, 0.0024], [0.5000, 0.0000, 0.5024], [0.0000, 0.0000, 0.2517], [0.5000, 0.5000, 0.7517], [0.5000, 0.5000, 0.2388], [0.0000, 0.0000, 0.7389]], "energy_mp2020_ev_per_atom": -8.3622, "vol_a3_per_cell": 159.4, "ef_ev_per_atom": -2.24, "e_tot_ha_per_atom": -0.271}


Question: What is the formula in the second record?
Answer: FeP4O12


Question: Number 5 is which compound?
Answer: MgMn6O8F4